[1]
A plane-wave DFT calculation with GGA-PBE was carried out for crystalline KBiF6 at its relaxed geometry.

Lattice parameters (Å, degrees): 5.451 5.451 10.126 90.00 90.00 90.00
Fractional coordinates of all 16 atoms:
K (0.000, 0.000, 0.000)
K (0.000, 0.000, 0.500)
Bi (0.500, 0.500, 0.250)
Bi (0.500, 0.500, 0.750)
F (0.233, 0.233, 0.250)
F (0.233, 0.767, 0.750)
F (0.298, 0.321, 0.609)
F (0.298, 0.679, 0.109)
F (0.321, 0.298, 0.891)
F (0.321, 0.702, 0.391)
F (0.679, 0.298, 0.391)
F (0.679, 0.702, 0.891)
F (0.702, 0.321, 0.109)
F (0.702, 0.679, 0.609)
F (0.767, 0.233, 0.750)
F (0.767, 0.767, 0.250)

***

[2]
A plane-wave DFT calculation with GGA-PBE was carried out for crystalline Tm3Np at its relaxed geometry.

## Properties
relative energy among the computed polymorphs = 7 kJ/mol of formula units

Lattice parameters (Å, degrees): 6.034 6.034 6.034 132.73 132.73 69.07
Fractional coordinates of all 4 atoms:
Tm (0.000, 0.000, 0.000)
Tm (0.250, 0.750, 0.500)
Tm (0.750, 0.250, 0.500)
Np (0.500, 0.500, 0.000)

***

[3]
A plane-wave DFT calculation with GGA-PBE was carried out for crystalline DyFe6Sn6 at its relaxed geometry.

## Properties
relative energy among the computed polymorphs = 0 kJ/mol of formula units

Lattice parameters (Å, degrees): 10.370 10.370 5.412 90.00 90.00 128.86
Fractional coordinates of all 26 atoms:
Dy (0.127, 0.873, 0.750)
Dy (0.873, 0.127, 0.250)
Fe (0.000, 0.500, 0.000)
Fe (0.000, 0.500, 0.500)
Fe (0.122, 0.372, 0.750)
Fe (0.246, 0.246, 0.000)
Fe (0.246, 0.246, 0.500)
Fe (0.372, 0.122, 0.250)
Fe (0.500, 0.000, 0.000)
Fe (0.500, 0.000, 0.500)
Fe (0.628, 0.878, 0.750)
Fe (0.754, 0.754, 0.000)
Fe (0.754, 0.754, 0.500)
Fe (0.878, 0.628, 0.250)
Sn (0.043, 0.957, 0.250)
Sn (0.211, 0.789, 0.250)
Sn (0.213, 0.462, 0.250)
Sn (0.294, 0.706, 0.750)
Sn (0.458, 0.542, 0.750)
Sn (0.462, 0.213, 0.750)
Sn (0.538, 0.787, 0.250)
Sn (0.542, 0.458, 0.250)
Sn (0.706, 0.294, 0.250)
Sn (0.787, 0.538, 0.750)
Sn (0.789, 0.211, 0.750)
Sn (0.957, 0.043, 0.750)

***

[4]
A plane-wave DFT calculation with GGA-PBE was carried out for crystalline CeSe2 at its relaxed geometry.

Lattice parameters (Å, degrees): 4.871 4.871 12.066 90.00 90.00 120.00
Fractional coordinates of all 9 atoms:
Ce (0.000, 0.657, 0.333)
Ce (0.343, 0.343, 0.000)
Ce (0.657, 0.000, 0.667)
Se (0.009, 0.675, 0.084)
Se (0.325, 0.334, 0.751)
Se (0.334, 0.325, 0.249)
Se (0.666, 0.991, 0.417)
Se (0.675, 0.009, 0.916)
Se (0.991, 0.666, 0.583)

***

[5]
A plane-wave DFT calculation with GGA-PBE was carried out for crystalline AcPdO3 at its relaxed geometry.

Lattice parameters (Å, degrees): 4.092 4.092 4.092 90.00 90.00 90.00
Fractional coordinates of all 5 atoms:
Ac (0.000, 0.000, 0.000)
Pd (0.500, 0.500, 0.500)
O (0.000, 0.500, 0.500)
O (0.500, 0.000, 0.500)
O (0.500, 0.500, 0.000)

***

[6]
A plane-wave DFT calculation with GGA-PBE was carried out for crystalline RbInTe2 at its relaxed geometry.

Lattice parameters (Å, degrees): 7.416 7.416 7.416 104.90 104.90 119.06
Fractional coordinates of all 8 atoms:
Rb (0.250, 0.250, 0.000)
Rb (0.750, 0.750, 0.000)
In (0.250, 0.750, 0.500)
In (0.750, 0.250, 0.500)
Te (0.169, 0.669, 0.839)
Te (0.331, 0.169, 0.500)
Te (0.669, 0.831, 0.500)
Te (0.831, 0.331, 0.161)

***

[7]
A plane-wave DFT calculation with GGA-PBE was carried out for crystalline SnH12C6S2N2O2 at its relaxed geometry.

Lattice parameters (Å, degrees): 8.458 7.876 21.320 90.00 108.35 90.00
Fractional coordinates of all 100 atoms:
Sn (0.084, 0.179, 0.293)
Sn (0.084, 0.321, 0.793)
Sn (0.916, 0.679, 0.207)
Sn (0.916, 0.821, 0.707)
H (0.004, 0.182, 0.120)
H (0.004, 0.318, 0.620)
H (0.054, 0.181, 0.044)
H (0.054, 0.319, 0.544)
H (0.132, 0.582, 0.452)
H (0.132, 0.918, 0.952)
H (0.156, 0.690, 0.053)
H (0.156, 0.810, 0.553)
H (0.254, 0.501, 0.036)
H (0.254, 0.999, 0.536)
H (0.334, 0.182, 0.670)
H (0.334, 0.318, 0.170)
H (0.349, 0.703, 0.035)
H (0.349, 0.797, 0.535)
H (0.388, 0.545, 0.383)
H (0.388, 0.955, 0.883)
H (0.403, 0.058, 0.120)
H (0.403, 0.442, 0.620)
H (0.478, 0.020, 0.666)
H (0.478, 0.480, 0.166)
H (0.480, 0.217, 0.077)
H (0.480, 0.283, 0.577)
H (0.488, 0.113, 0.744)
H (0.488, 0.387, 0.244)
H (0.512, 0.613, 0.756)
H (0.512, 0.887, 0.256)
H (0.520, 0.717, 0.423)
H (0.520, 0.783, 0.923)
H (0.522, 0.520, 0.834)
H (0.522, 0.980, 0.334)
H (0.597, 0.558, 0.380)
H (0.597, 0.942, 0.880)
H (0.612, 0.045, 0.117)
H (0.612, 0.455, 0.617)
H (0.651, 0.203, 0.465)
H (0.651, 0.297, 0.965)
H (0.666, 0.682, 0.830)
H (0.666, 0.818, 0.330)
H (0.746, 0.001, 0.464)
H (0.746, 0.499, 0.964)
H (0.844, 0.190, 0.447)
H (0.844, 0.310, 0.947)
H (0.868, 0.082, 0.048)
H (0.868, 0.418, 0.548)
H (0.946, 0.681, 0.456)
H (0.946, 0.819, 0.956)
H (0.996, 0.682, 0.380)
H (0.996, 0.818, 0.880)
C (0.047, 0.689, 0.434)
C (0.047, 0.811, 0.934)
C (0.129, 0.527, 0.909)
C (0.129, 0.973, 0.409)
C (0.229, 0.635, 0.023)
C (0.229, 0.865, 0.523)
C (0.271, 0.704, 0.277)
C (0.271, 0.796, 0.777)
C (0.463, 0.139, 0.691)
C (0.463, 0.361, 0.191)
C (0.486, 0.631, 0.380)
C (0.486, 0.869, 0.880)
C (0.514, 0.131, 0.120)
C (0.514, 0.369, 0.620)
C (0.537, 0.639, 0.809)
C (0.537, 0.861, 0.309)
C (0.729, 0.204, 0.223)
C (0.729, 0.296, 0.723)
C (0.771, 0.135, 0.477)
C (0.771, 0.365, 0.977)
C (0.871, 0.027, 0.591)
C (0.871, 0.473, 0.091)
C (0.953, 0.189, 0.066)
C (0.953, 0.311, 0.566)
S (0.195, 0.670, 0.705)
S (0.195, 0.830, 0.205)
S (0.231, 0.166, 0.431)
S (0.231, 0.334, 0.931)
S (0.769, 0.666, 0.069)
S (0.769, 0.834, 0.569)
S (0.805, 0.170, 0.795)
S (0.805, 0.330, 0.295)
N (0.136, 0.651, 0.953)
N (0.136, 0.849, 0.453)
N (0.426, 0.729, 0.319)
N (0.426, 0.771, 0.819)
N (0.574, 0.229, 0.181)
N (0.574, 0.271, 0.681)
N (0.864, 0.151, 0.547)
N (0.864, 0.349, 0.047)
O (0.043, 0.554, 0.848)
O (0.043, 0.946, 0.348)
O (0.175, 0.590, 0.288)
O (0.175, 0.910, 0.788)
O (0.825, 0.090, 0.212)
O (0.825, 0.410, 0.712)
O (0.957, 0.054, 0.652)
O (0.957, 0.446, 0.152)

***

[8]
A plane-wave DFT calculation with GGA-PBE was carried out for crystalline SrLaGaCuO5 at its relaxed geometry.

## Properties
relative energy among the computed polymorphs = 0 kJ/mol of formula units

Lattice parameters (Å, degrees): 5.376 5.649 9.160 72.07 73.22 89.89
Fractional coordinates of all 18 atoms:
Sr (0.000, 0.000, 0.000)
Sr (0.499, 0.536, 0.000)
La (0.211, 0.255, 0.569)
La (0.710, 0.713, 0.568)
Ga (0.329, 0.943, 0.277)
Ga (0.828, 0.316, 0.276)
Cu (0.107, 0.628, 0.784)
Cu (0.608, 0.124, 0.784)
O (0.311, 0.704, 0.470)
O (0.355, 0.372, 0.779)
O (0.377, 0.894, 0.748)
O (0.469, 0.244, 0.292)
O (0.488, 0.926, 0.076)
O (0.810, 0.364, 0.469)
O (0.856, 0.386, 0.778)
O (0.879, 0.897, 0.744)
O (0.970, 0.000, 0.292)
O (0.986, 0.533, 0.076)

***

[9]
A plane-wave DFT calculation with GGA-PBE was carried out for crystalline Na2CaYPS2O12 at its relaxed geometry.

Lattice parameters (Å, degrees): 9.280 9.280 24.017 90.04 90.04 60.28
Fractional coordinates of all 114 atoms:
Na (0.000, 0.000, 0.000)
Na (0.000, 0.000, 0.500)
Na (0.006, 0.361, 0.752)
Na (0.308, 0.672, 0.419)
Na (0.325, 0.328, 0.834)
Na (0.328, 0.325, 0.334)
Na (0.329, 0.967, 0.584)
Na (0.361, 0.006, 0.252)
Na (0.651, 0.679, 0.667)
Na (0.672, 0.308, 0.919)
Na (0.679, 0.651, 0.167)
Na (0.967, 0.329, 0.084)
Ca (0.007, 0.993, 0.647)
Ca (0.332, 0.336, 0.980)
Ca (0.336, 0.332, 0.480)
Ca (0.662, 0.681, 0.813)
Ca (0.681, 0.662, 0.313)
Ca (0.993, 0.007, 0.147)
Y (0.001, 0.017, 0.347)
Y (0.017, 0.001, 0.847)
Y (0.342, 0.344, 0.180)
Y (0.344, 0.342, 0.680)
Y (0.668, 0.669, 0.513)
Y (0.669, 0.668, 0.013)
P (0.007, 0.302, 0.243)
P (0.302, 0.007, 0.743)
P (0.337, 0.637, 0.577)
P (0.373, 0.966, 0.412)
P (0.637, 0.337, 0.077)
P (0.966, 0.373, 0.912)
S (0.003, 0.703, 0.747)
S (0.039, 0.337, 0.581)
S (0.040, 0.632, 0.080)
S (0.297, 0.709, 0.248)
S (0.337, 0.039, 0.081)
S (0.374, 0.669, 0.913)
S (0.632, 0.040, 0.580)
S (0.669, 0.374, 0.413)
S (0.671, 0.969, 0.913)
S (0.703, 0.003, 0.247)
S (0.709, 0.297, 0.748)
S (0.969, 0.671, 0.413)
O (0.019, 0.799, 0.086)
O (0.023, 0.784, 0.797)
O (0.024, 0.186, 0.586)
O (0.033, 0.186, 0.295)
O (0.117, 0.359, 0.633)
O (0.119, 0.526, 0.130)
O (0.138, 0.553, 0.029)
O (0.140, 0.526, 0.418)
O (0.141, 0.347, 0.918)
O (0.145, 0.313, 0.533)
O (0.156, 0.533, 0.743)
O (0.176, 0.305, 0.241)
O (0.186, 0.024, 0.086)
O (0.186, 0.033, 0.795)
O (0.186, 0.815, 0.582)
O (0.198, 0.785, 0.299)
O (0.200, 0.968, 0.409)
O (0.205, 0.816, 0.909)
O (0.214, 0.812, 0.199)
O (0.221, 0.990, 0.690)
O (0.305, 0.176, 0.741)
O (0.313, 0.145, 0.033)
O (0.318, 0.540, 0.243)
O (0.321, 0.557, 0.523)
O (0.347, 0.141, 0.418)
O (0.356, 0.528, 0.629)
O (0.359, 0.117, 0.133)
O (0.364, 0.514, 0.919)
O (0.452, 0.694, 0.964)
O (0.459, 0.854, 0.464)
O (0.462, 0.699, 0.252)
O (0.471, 0.882, 0.358)
O (0.475, 0.648, 0.863)
O (0.475, 0.855, 0.750)
O (0.488, 0.873, 0.075)
O (0.496, 0.659, 0.576)
O (0.514, 0.364, 0.419)
O (0.526, 0.119, 0.630)
O (0.526, 0.140, 0.918)
O (0.528, 0.356, 0.129)
O (0.533, 0.156, 0.243)
O (0.540, 0.318, 0.743)
O (0.553, 0.138, 0.529)
O (0.557, 0.321, 0.023)
O (0.641, 0.873, 0.575)
O (0.648, 0.475, 0.363)
O (0.650, 0.891, 0.864)
O (0.659, 0.496, 0.076)
O (0.675, 0.860, 0.252)
O (0.689, 0.869, 0.964)
O (0.694, 0.452, 0.464)
O (0.699, 0.462, 0.752)
O (0.784, 0.023, 0.297)
O (0.785, 0.198, 0.799)
O (0.799, 0.019, 0.586)
O (0.802, 0.982, 0.197)
O (0.812, 0.214, 0.699)
O (0.815, 0.186, 0.082)
O (0.816, 0.205, 0.409)
O (0.824, 0.987, 0.909)
O (0.854, 0.459, 0.964)
O (0.855, 0.475, 0.250)
O (0.860, 0.675, 0.752)
O (0.869, 0.689, 0.464)
O (0.873, 0.488, 0.575)
O (0.873, 0.641, 0.075)
O (0.882, 0.471, 0.858)
O (0.891, 0.650, 0.364)
O (0.968, 0.200, 0.909)
O (0.982, 0.802, 0.697)
O (0.987, 0.824, 0.409)
O (0.990, 0.221, 0.190)

***

[10]
A plane-wave DFT calculation with GGA-PBE was carried out for crystalline RbSnS2 at its relaxed geometry.

Lattice parameters (Å, degrees): 8.151 8.151 8.151 28.76 28.76 28.76
Fractional coordinates of all 4 atoms:
Rb (0.000, 0.000, 0.000)
Sn (0.833, 0.833, 0.833)
S (0.231, 0.231, 0.231)
S (0.436, 0.436, 0.436)

***

[11]
A plane-wave DFT calculation with GGA-PBE was carried out for crystalline PaIn3 at its relaxed geometry.

Lattice parameters (Å, degrees): 4.697 4.697 4.697 90.00 90.00 90.00
Fractional coordinates of all 4 atoms:
Pa (0.000, 0.000, 0.000)
In (0.000, 0.500, 0.500)
In (0.500, 0.000, 0.500)
In (0.500, 0.500, 0.000)

***

[12]
A plane-wave DFT calculation with GGA-PBE was carried out for crystalline H8PdN2Cl6 at its relaxed geometry.

## Properties
relative energy among the computed polymorphs = 0 kJ/mol of formula units

Lattice parameters (Å, degrees): 6.975 6.973 12.165 90.00 124.93 90.00
Fractional coordinates of all 34 atoms:
H (0.092, 0.048, 0.168)
H (0.092, 0.452, 0.668)
H (0.242, 0.645, 0.764)
H (0.242, 0.855, 0.264)
H (0.289, 0.074, 0.335)
H (0.289, 0.426, 0.835)
H (0.381, 0.024, 0.236)
H (0.381, 0.476, 0.736)
H (0.619, 0.524, 0.264)
H (0.619, 0.976, 0.764)
H (0.711, 0.574, 0.165)
H (0.711, 0.926, 0.665)
H (0.758, 0.145, 0.736)
H (0.758, 0.355, 0.236)
H (0.908, 0.548, 0.332)
H (0.908, 0.952, 0.832)
Pd (0.000, 0.000, 0.500)
Pd (0.000, 0.500, 0.000)
N (0.250, 0.000, 0.251)
N (0.250, 0.500, 0.751)
N (0.750, 0.000, 0.749)
N (0.750, 0.500, 0.249)
Cl (0.225, 0.749, 0.996)
Cl (0.225, 0.751, 0.496)
Cl (0.241, 0.505, 0.237)
Cl (0.241, 0.995, 0.737)
Cl (0.249, 0.229, 0.500)
Cl (0.249, 0.271, 0.000)
Cl (0.751, 0.729, 0.000)
Cl (0.751, 0.771, 0.500)
Cl (0.759, 0.005, 0.263)
Cl (0.759, 0.495, 0.763)
Cl (0.775, 0.249, 0.504)
Cl (0.775, 0.251, 0.004)

***

Number 1: electronic total energy -4.237 eV per atom, DFT formation energy -2.5223 eV per atom. Number 2: electronic total energy -6.230 eV per atom, DFT formation energy 0.3639 eV per atom. Number 3: electronic total energy -6.226 eV per atom, DFT formation energy -0.1121 eV per atom. Number 4: electronic total energy -5.900 eV per atom, DFT formation energy -1.9062 eV per atom. Number 5: electronic total energy -6.654 eV per atom, DFT formation energy -2.2370 eV per atom. Number 6: electronic total energy -3.206 eV per atom, DFT formation energy -0.9127 eV per atom. Number 7: electronic total energy -5.684 eV per atom, DFT formation energy -0.3819 eV per atom. Number 8: electronic total energy -6.549 eV per atom, DFT formation energy -2.6537 eV per atom. Number 9: electronic total energy -6.690 eV per atom, DFT formation energy -2.6933 eV per atom. Number 10: electronic total energy -3.977 eV per atom, DFT formation energy -0.9125 eV per atom. Number 11: electronic total energy -4.558 eV per atom, DFT formation energy -0.1160 eV per atom. Number 12: electronic total energy -4.099 eV per atom, DFT formation energy -0.7814 eV per atom.